[1]
EuClO2 | Materials Project | PBE | relaxed; formation energy from the elements = -1.6895 eV/atom; size of the total moment = 4.0 μB per formula unit; DFT total energy = -6.85 eV per atom
1.0
3.7726 0.0000 0.0000
0.0000 6.3897 0.0000
0.0000 2.8324 5.8487
O Cl Eu
4 2 2
Cartesian
0.9431 5.3981 3.3052 O
0.9431 1.2782 2.0098 O
2.8294 7.9438 3.8388 O
2.8294 3.8239 2.5434 O
0.9431 4.9033 0.3077 Cl
2.8294 4.3187 5.5410 Cl
2.8294 6.2528 2.2171 Eu
0.9431 2.9692 3.6316 Eu

[2]
Eu4Cl6O | Materials Project | PBE | relaxed; largest piezoelectric modulus = 0.17 C/m2; formation energy from the elements = -2.5572 eV/atom; DFT total energy = -7.68 eV per atom
1.0
4.7456 -8.2195 0.0000
4.7456 8.2195 0.0000
0.0000 0.0000 7.1939
Cl Eu O
12 8 2
Cartesian
2.8593 -3.8289 1.5456 Cl
6.6318 3.8289 5.1425 Cl
4.7456 -5.8829 6.4116 Cl
7.4675 1.1683 2.8147 Cl
7.4675 -1.1683 6.4116 Cl
4.7456 -0.5617 1.5456 Cl
2.0236 1.1683 2.8147 Cl
4.7456 0.5617 5.1425 Cl
6.6318 -3.8289 1.5456 Cl
2.0236 -1.1683 6.4116 Cl
2.8593 3.8289 5.1425 Cl
4.7456 5.8829 2.8147 Cl
4.7456 4.9804 0.0064 Eu
4.7456 2.7399 3.1185 Eu
4.7456 -4.9804 3.6034 Eu
6.6859 -1.6196 3.6034 Eu
2.8052 1.6196 0.0064 Eu
6.6859 1.6196 0.0064 Eu
4.7456 -2.7399 6.7154 Eu
2.8052 -1.6196 3.6034 Eu
4.7456 -2.7399 4.3638 O
4.7456 2.7399 0.7668 O

[3]
EuClO | Materials Project | PBE | relaxed; formation energy from the elements = -2.6933 eV/atom; DFT total energy = -8.15 eV per atom
1.0
-1.2831 2.6983 -2.7036
-3.5122 -1.9547 -0.2840
-2.5385 3.8307 5.0279
Eu O Cl
2 2 2
Cartesian
-3.8543 2.1889 4.0138 Eu
-1.0819 2.0136 -0.4797 Eu
0.0000 0.0000 0.0000 O
-2.3977 0.3718 -1.4938 O
-2.6965 0.4418 1.7207 Cl
-2.2396 3.7607 1.8134 Cl

[4]
EuSeClO3 | Materials Project | PBE | relaxed; formation energy from the elements = -2.0366 eV/atom; size of the total moment = 6.0 μB per formula unit; DFT total energy = -6.77 eV per atom
1.0
-6.5802 -1.7166 -2.4055
2.5806 -0.1793 -6.9311
1.9571 -8.8435 0.9574
O Se Cl Eu
12 4 4 4
Cartesian
-2.7031 -8.5461 -2.7299 O
0.5542 -0.7970 -2.5649 O
-0.2909 -9.3408 -4.9714 O
-4.5977 -6.6415 -2.6964 O
0.6605 -2.1933 -5.6494 O
-0.3722 -3.2674 -2.0578 O
2.5551 -4.0979 -5.6828 O
-2.2918 -6.0400 -1.8535 O
-2.5968 -9.9424 -5.8144 O
0.2492 -4.6995 -6.5258 O
-1.6704 -7.4720 -6.3214 O
-1.7517 -1.3986 -3.4079 O
-2.9539 -6.9234 -3.2018 Se
-0.8430 -1.6294 -1.9389 Se
0.9114 -3.8161 -5.1774 Se
-1.1996 -9.1101 -6.4404 Se
2.4112 -7.8496 -6.4017 Cl
0.8476 -6.5250 -3.0698 Cl
-4.4538 -2.8898 -1.9775 Cl
-2.8902 -4.2144 -5.3094 Cl
-1.7416 -5.5080 -7.5281 Eu
-0.3010 -5.2314 -0.8511 Eu
1.8082 -9.0215 -3.9161 Eu
-3.8508 -1.7179 -4.4632 Eu

[5]
Eu2SiCl2O3 | Materials Project | PBE | relaxed; formation energy from the elements = -3.0113 eV/atom; size of the total moment = 14.0 μB per formula unit; DFT total energy = -8.31 eV per atom
1.0
-5.6143 5.6143 4.8230
5.6143 -5.6143 4.8230
5.6143 5.6143 -4.8230
Eu Cl O Si
8 8 12 4
Cartesian
2.8037 6.5262 2.6334 Eu
4.7023 2.8037 2.6334 Eu
0.9119 2.8105 2.1896 Eu
8.4180 0.9119 2.1896 Eu
6.5262 -2.8037 2.6334 Eu
2.8105 -0.9119 2.1896 Eu
-0.9119 8.4180 2.1896 Eu
-2.8037 4.7023 2.6334 Eu
2.8291 1.0756 0.0000 Cl
0.0000 0.0000 7.6934 Cl
5.6143 0.0000 2.4115 Cl
2.7851 4.5387 4.8230 Cl
1.0756 8.3994 0.0000 Cl
0.0000 0.0000 1.9527 Cl
4.5387 -2.7851 4.8230 Cl
0.0000 5.6143 2.4115 Cl
7.0715 2.8577 1.4132 O
5.0443 3.7586 0.0000 O
2.7565 1.4573 3.4099 O
-1.4573 2.7565 3.4099 O
1.8556 -0.5700 4.8230 O
7.0715 2.8577 -1.4132 O
2.8577 4.1570 1.4132 O
-1.4573 2.7565 6.2362 O
2.7565 1.4573 6.2362 O
0.5700 1.8556 4.8230 O
2.8577 4.1570 -1.4132 O
3.7586 6.1843 0.0000 O
-1.0891 2.0534 4.8230 Si
2.0534 1.0891 4.8230 Si
6.7033 3.5609 0.0000 Si
3.5609 4.5252 0.0000 Si

[6]
Eu2PCl | Materials Project | PBE | relaxed; formation energy from the elements = -1.7790 eV/atom; DFT total energy = -8.57 eV per atom
1.0
-1.5698 0.3347 3.9334
1.9024 -3.6449 1.0694
4.8056 2.9962 1.6630
Cl P Eu
1 1 2
Cartesian
0.1663 -1.6551 2.5014 Cl
2.4028 1.4981 0.8315 P
0.0000 0.0000 0.0000 Eu
2.5691 -0.1570 3.3329 Eu